## Na10Y4Sc4Si5S7O48 (PBE-GGA)

Data for a relaxed Na10Y4Sc4Si5S7O48 crystal.

```
Na10Y4Sc4Si5S7O48
1.0
9.214 0.000 0.000
-0.001 15.983 0.000
-0.017 -0.126 23.405
Na Y Sc Si S O
30 12 12 15 21 144
Cartesian
0.000 0.000 0.000
0.000 5.364 15.369
0.108 10.287 23.343
0.411 4.914 23.047
0.416 15.662 7.400
1.558 7.871 13.475
1.603 2.571 21.208
1.714 13.073 5.595
1.815 13.113 17.374
1.869 2.727 9.511
2.070 8.020 1.927
2.930 4.997 11.333
3.058 15.571 19.086
3.317 10.291 11.463
3.557 0.008 11.698
4.567 13.418 15.421
5.083 7.671 7.423
5.148 12.860 23.085
6.136 10.623 21.338
6.149 15.859 13.443
6.171 5.293 5.736
6.366 5.125 17.268
6.439 15.857 1.658
6.500 10.680 9.467
7.589 12.938 11.275
7.648 7.624 19.056
7.691 2.385 3.509
7.949 2.323 11.531
8.136 13.411 3.671
8.148 7.949 11.639
1.721 2.420 17.729
1.732 12.904 9.117
1.771 12.858 20.912
1.782 13.041 13.798
1.857 7.697 21.680
6.244 15.721 16.926
6.297 5.222 2.267
6.334 10.372 17.767
6.372 15.707 5.246
6.381 15.606 21.722
6.447 10.301 13.118
6.474 4.916 20.864
1.612 7.620 16.940
1.635 7.573 9.933
1.672 2.393 1.434
1.676 13.079 2.189
1.805 2.489 6.104
1.892 2.396 13.048
1.957 7.664 5.242
6.201 10.356 1.385
6.287 15.616 9.947
6.297 4.920 9.188
6.405 10.436 6.080
6.444 5.060 13.797
0.379 5.318 19.349
0.389 10.584 11.491
0.461 0.079 3.779
3.093 -0.015 15.404
3.102 10.625 23.340
3.142 5.369 7.645
4.548 13.073 11.525
4.919 13.251 19.323
5.006 8.132 3.833
5.031 2.722 11.527
7.713 13.324 7.602
7.738 7.858 15.461
7.788 2.622 23.380
8.194 12.929 23.336
9.049 5.031 11.515
0.356 15.489 11.469
0.401 10.002 19.274
0.456 4.782 3.737
3.049 15.382 23.286
3.132 10.014 7.595
3.142 4.790 15.367
3.547 10.310 15.415
3.568 4.951 23.237
3.589 15.808 7.646
4.404 2.453 3.717
4.472 7.667 19.245
4.956 2.089 19.343
4.979 7.358 11.475
4.989 12.726 3.699
7.707 7.419 23.205
7.740 2.137 7.636
7.740 12.784 15.414
8.237 2.414 15.301
8.254 7.753 7.600
9.048 10.406 3.712
9.124 15.696 19.327
9.201 12.911 15.330
0.017 2.197 7.517
0.145 13.347 7.655
0.191 7.676 15.557
0.267 2.636 0.027
0.521 11.646 10.266
0.546 14.602 12.642
0.666 11.665 3.640
0.686 9.221 3.908
0.679 9.267 20.541
0.763 1.027 2.446
0.774 3.894 4.885
0.767 14.484 19.390
0.780 6.271 18.050
0.794 3.692 11.689
0.806 6.364 11.344
0.822 0.899 19.260
0.876 6.017 20.748
0.962 0.851 11.689
0.967 9.286 18.123
0.961 11.364 19.308
0.988 14.910 10.270
1.003 0.885 5.111
1.006 4.189 2.480
1.005 6.137 3.893
1.012 3.823 19.247
1.049 14.534 3.675
1.092 11.249 12.806
1.143 9.130 11.264
2.286 9.194 23.247
2.421 11.589 1.158
2.462 0.868 0.069
2.460 3.887 7.408
2.463 14.845 22.022
2.478 6.111 15.520
2.479 14.437 15.392
2.495 4.150 14.168
2.514 6.044 9.019
2.542 9.335 6.425
2.566 11.383 7.630
2.620 0.691 16.802
2.649 6.138 23.176
2.661 0.900 14.086
2.706 14.622 7.728
2.716 1.034 7.555
2.710 3.746 23.371
2.721 9.123 15.613
2.729 11.561 15.363
2.771 14.612 1.018
2.827 6.401 6.398
2.839 9.255 8.849
2.873 3.959 16.566
2.958 11.510 21.973
3.267 13.275 19.306
3.350 7.982 3.890
3.385 2.519 11.697
3.470 2.123 19.246
3.504 7.507 11.345
3.530 12.891 3.595
3.535 12.865 10.282
3.565 2.573 4.930
3.572 2.373 2.501
3.594 7.596 18.080
3.691 7.845 20.499
3.702 13.388 12.897
4.323 10.167 14.149
4.385 4.847 22.018
4.429 -0.038 8.875
4.439 5.268 1.027
4.443 15.680 6.453
4.493 10.526 16.544
4.527 15.499 23.182
4.595 4.936 15.202
4.623 10.093 7.493
4.747 10.610 0.070
4.750 15.788 15.341
4.798 5.345 7.762
5.191 3.713 10.231
5.242 6.519 12.665
5.272 1.244 3.786
5.278 1.276 20.533
5.313 3.639 3.675
5.299 14.182 17.997
5.315 6.446 19.345
5.321 11.921 4.898
5.379 9.013 2.507
5.401 8.840 19.188
5.440 13.988 20.700
5.472 11.720 11.642
5.489 3.458 19.438
5.520 14.417 11.354
5.538 1.481 18.125
5.561 8.724 11.633
5.585 8.884 5.179
5.594 12.126 2.479
5.598 6.772 10.260
5.595 11.764 19.258
5.642 14.081 3.803
5.683 6.630 3.765
5.727 1.239 11.311
5.733 3.455 12.806
7.022 11.843 7.468
7.102 6.336 15.342
7.105 14.121 15.524
7.118 14.116 8.948
7.119 6.848 21.968
7.165 1.536 6.401
7.166 3.489 7.774
7.155 12.178 14.181
7.167 8.580 16.813
7.172 8.779 23.391
7.225 3.438 1.335
7.213 1.106 23.196
7.213 14.257 23.246
7.295 11.703 0.098
7.355 6.565 7.723
7.366 8.966 7.501
7.388 3.625 15.219
7.400 11.952 16.583
7.413 14.253 6.276
7.413 1.194 15.436
7.446 1.273 8.816
7.449 6.649 0.949
7.473 8.719 14.096
7.556 3.629 22.102
7.929 5.332 19.314
7.977 10.342 11.596
7.997 0.011 3.777
8.010 4.809 10.275
8.099 15.668 11.306
8.127 10.055 19.183
8.129 10.634 4.869
8.177 4.830 3.663
8.169 5.332 12.877
8.264 10.262 2.459
8.259 15.623 18.137
8.325 15.842 20.566
9.054 7.918 8.862
9.081 2.620 16.512
9.100 2.289 14.098
9.138 7.622 6.436
9.131 12.724 22.019
9.179 13.339 1.242
9.191 7.509 23.100
```

Calculated values
The total energy comes out at -6.96 eV/atom. Its formation energy is -2790 meV/atom.

## Na2Y4Sc4SiS11O48 (PBE-GGA)

Data for a relaxed Na2Y4Sc4SiS11O48 crystal.

```
Na2Y4Sc4SiS11O48
1.0
9.039 0.000 0.000
0.020 15.630 0.000
0.007 0.009 23.827
Na Y Sc Si S O
6 12 12 3 33 144
Cartesian
0.000 0.000 0.000
0.054 10.305 8.102
0.117 10.481 19.935
4.685 2.488 19.959
4.733 2.495 7.880
4.809 7.816 11.850
0.030 0.019 3.657
0.035 0.042 8.508
0.044 5.305 12.502
0.073 5.287 7.577
0.079 10.364 11.540
0.117 10.424 4.459
4.634 7.842 3.464
4.660 2.579 23.335
4.683 13.147 7.461
4.686 2.563 4.462
4.702 7.847 8.521
4.706 13.114 0.444
0.028 0.019 20.352
0.105 5.254 19.388
0.132 10.441 23.427
0.127 0.049 15.464
0.136 5.254 0.494
0.145 10.508 16.344
4.619 2.584 16.366
4.627 7.857 20.408
4.637 2.612 11.583
4.639 7.841 15.596
4.644 13.086 12.465
4.682 13.169 19.432
6.017 15.363 21.788
6.448 0.092 6.043
7.805 7.591 10.009
1.349 3.026 21.839
1.415 7.492 21.853
1.425 13.309 6.044
1.459 12.769 14.011
1.466 2.340 6.045
1.529 8.211 14.083
1.966 13.034 21.832
1.994 7.854 6.020
2.071 2.564 14.012
2.700 0.060 17.919
2.707 10.452 1.961
2.811 5.145 10.055
3.225 4.914 1.969
3.236 0.320 1.993
3.317 10.081 17.952
3.342 10.837 10.066
3.350 5.583 17.968
3.388 15.365 10.109
5.829 4.889 14.026
5.935 5.554 5.992
5.948 0.385 13.972
5.974 10.123 6.001
5.991 10.740 21.808
6.464 10.440 14.035
6.596 5.317 21.819
7.223 13.049 10.072
7.242 7.873 17.954
7.363 2.697 1.945
7.729 2.945 10.062
7.832 2.293 17.919
7.885 13.393 17.898
7.891 12.699 1.950
7.892 8.147 1.927
0.769 11.965 5.935
0.764 1.669 21.698
0.783 6.859 20.663
0.794 12.212 12.822
0.796 3.656 23.064
0.811 8.855 22.032
0.810 3.642 6.196
0.863 13.965 7.241
0.876 14.098 14.328
0.908 8.933 15.233
0.918 6.882 13.971
0.953 1.685 4.823
1.034 3.856 20.641
1.072 11.824 22.001
1.109 14.238 21.645
1.103 9.053 5.914
1.170 14.088 4.817
1.180 6.639 6.103
1.179 6.677 23.059
1.198 11.854 15.186
1.229 1.365 14.247
1.232 3.754 13.852
1.235 1.495 7.242
1.353 8.997 12.849
1.763 5.074 1.712
1.767 0.192 2.068
1.787 10.280 0.785
1.827 10.212 17.756
1.857 15.529 16.722
1.863 10.726 10.197
1.869 0.312 19.117
1.886 5.458 18.195
1.904 10.636 3.189
1.933 15.499 9.991
1.957 5.309 11.247
2.024 4.926 8.827
2.747 13.227 23.066
2.812 8.047 7.229
2.824 2.930 21.932
2.830 12.803 20.656
2.842 7.780 4.807
2.862 13.118 6.182
2.875 7.638 21.619
2.912 12.892 13.797
2.916 2.349 12.808
2.934 2.537 5.928
2.957 2.757 15.201
2.998 8.068 14.307
3.417 4.101 3.182
3.519 9.233 2.086
3.542 9.200 19.137
3.553 14.481 18.094
3.550 11.627 1.769
3.543 1.151 0.799
3.589 6.419 16.759
3.600 1.257 17.718
3.624 11.557 8.826
3.653 6.357 9.932
3.705 3.954 10.239
3.716 14.502 11.281
3.769 0.966 3.206
3.807 6.262 2.154
3.871 14.618 1.868
3.862 4.284 0.799
3.896 11.542 11.258
3.902 9.419 16.748
3.922 11.396 18.150
3.928 9.474 10.029
3.944 4.230 17.770
3.975 14.816 8.882
3.985 6.226 19.147
3.983 1.091 10.326
5.224 6.250 14.199
5.251 4.274 12.803
5.277 4.235 5.871
5.300 1.019 15.165
5.305 1.219 21.802
5.348 11.426 6.127
5.361 14.530 20.517
5.362 14.693 13.729
5.370 6.195 7.195
5.384 11.269 23.040
5.408 9.389 21.548
5.469 9.454 4.778
5.503 1.434 6.002
5.510 4.053 15.214
5.553 14.400 6.146
5.594 9.242 14.283
5.631 11.632 13.816
5.642 6.367 4.785
5.717 4.135 21.929
5.731 9.295 7.196
5.736 1.265 12.791
5.748 11.617 20.648
5.759 6.524 21.592
5.795 14.539 23.165
6.173 7.742 10.007
6.243 2.800 10.254
6.333 13.146 11.269
6.351 2.454 17.723
6.370 8.097 19.129
6.403 7.653 16.742
6.431 12.839 8.856
6.434 12.796 1.838
6.436 13.221 18.093
6.436 8.028 2.082
6.470 2.482 0.784
6.569 2.898 3.172
7.267 10.146 12.828
7.288 4.997 13.921
7.336 15.572 4.668
7.380 10.641 15.202
7.389 5.392 6.104
7.402 0.248 14.235
7.410 5.486 23.043
7.406 0.260 7.352
7.459 10.266 5.896
7.479 10.580 21.997
7.484 5.115 20.634
7.655 15.521 21.588
7.935 3.741 8.838
8.044 14.262 9.990
8.047 1.435 19.107
8.097 6.677 18.174
8.110 11.865 10.214
8.114 9.072 17.753
8.152 14.233 16.705
8.163 6.746 11.365
8.177 9.049 0.771
8.190 3.910 1.711
8.195 11.962 3.192
8.247 1.512 2.049
8.307 3.612 11.248
8.338 1.619 9.946
8.382 6.870 8.674
8.434 1.670 16.718
8.435 3.634 18.157
8.439 11.953 0.767
8.489 6.821 1.669
8.489 8.705 3.157
8.500 9.083 10.022
8.512 12.027 17.703
8.525 13.993 19.096
8.537 14.028 1.971
```

Calculated values
The total energy comes out at -7.06 eV/atom. Its formation energy is -2643 meV/atom.